The following is a DFT calculation (PBE with a Hubbard U) of a relaxed structure of BiW18O60.

Summary:
Total DFT energy (no corrections) (eV/atom): -7.07
ΔH_f (0 K) (eV/atom): -1.848

Cell and atoms, written as POSCAR:
```
BiW18O60
1.0
9.7379 5.6222 6.1386
-9.7379 5.6222 6.1386
0.0000 -11.2444 6.1386
Bi W O
1 18 60
Direct
0.0000 0.0000 0.0000
0.0026 0.3543 0.0596
0.0106 0.0723 0.7203
0.0596 0.0026 0.3543
0.0723 0.7203 0.0106
0.1500 0.8491 0.8032
0.1641 0.3870 0.3019
0.2241 0.2712 0.9226
0.2712 0.9226 0.2241
0.3019 0.1641 0.3870
0.3543 0.0596 0.0026
0.3870 0.3019 0.1641
0.6813 0.7639 0.9025
0.7203 0.0106 0.0723
0.7639 0.9025 0.6813
0.8032 0.1500 0.8491
0.8491 0.8032 0.1500
0.9025 0.6813 0.7639
0.9226 0.2241 0.2712
0.0012 0.9352 0.4442
0.0139 0.8457 0.9097
0.0279 0.3473 0.3515
0.0415 0.7310 0.7241
0.0524 0.2426 0.1699
0.0680 0.1353 0.6272
0.0860 0.9543 0.7349
0.0899 0.4490 0.1868
0.1042 0.1515 0.8559
0.1229 0.3443 0.9875
0.1353 0.6272 0.0680
0.1515 0.8559 0.1042
0.1557 0.8990 0.3127
0.1699 0.0524 0.2426
0.1766 0.7604 0.9164
0.1868 0.0899 0.4490
0.2136 0.2720 0.3669
0.2176 0.9668 0.9260
0.2244 0.5010 0.3960
0.2426 0.1699 0.0524
0.2431 0.3318 0.8135
0.2575 0.8320 0.7396
0.2720 0.3669 0.2136
0.3127 0.1557 0.8990
0.3318 0.8135 0.2431
0.3443 0.9875 0.1229
0.3473 0.3515 0.0279
0.3515 0.0279 0.3473
0.3669 0.2136 0.2720
0.3960 0.2244 0.5010
0.4442 0.0012 0.9352
0.4490 0.1868 0.0899
0.5010 0.3960 0.2244
0.5639 0.6720 0.8550
0.6272 0.0680 0.1353
0.6310 0.8840 0.9824
0.6720 0.8550 0.5639
0.6927 0.8469 0.7895
0.7241 0.0415 0.7310
0.7310 0.7241 0.0415
0.7349 0.0860 0.9543
0.7396 0.2575 0.8320
0.7604 0.9164 0.1766
0.7895 0.6927 0.8469
0.8135 0.2431 0.3318
0.8320 0.7396 0.2575
0.8457 0.9097 0.0139
0.8469 0.7895 0.6927
0.8550 0.5639 0.6720
0.8559 0.1042 0.1515
0.8840 0.9824 0.6310
0.8990 0.3127 0.1557
0.9097 0.0139 0.8457
0.9164 0.1766 0.7604
0.9260 0.2176 0.9668
0.9352 0.4442 0.0012
0.9543 0.7349 0.0860
0.9668 0.9260 0.2176
0.9824 0.6310 0.8840
0.9875 0.1229 0.3443
```



The following is a DFT calculation (PBE with a Hubbard U) of a relaxed structure of BiW2O8.

Summary:
Total DFT energy (no corrections) (eV/atom): -6.89
Energy above the lowest structure with this stoichiometry (eV per formula unit): 0.18
ΔH_f (0 K) (eV/atom): -1.886

Cell and atoms, written as POSCAR:
```
BiW2O8
1.0
5.3738 0.0000 0.0000
0.1091 5.9702 0.0000
2.2392 2.2345 5.2164
Bi W O
1 2 8
Direct
0.0000 0.0000 0.0000
0.2549 0.6742 0.5110
0.7451 0.3258 0.4890
0.1120 0.5081 0.3086
0.2254 0.9592 0.2767
0.2366 0.7648 0.7667
0.3595 0.3169 0.6755
0.6405 0.6831 0.3245
0.7634 0.2352 0.2333
0.7746 0.0408 0.7233
0.8880 0.4919 0.6914
```



The following is a DFT calculation (PBE with a Hubbard U) of a relaxed structure of Bi2WO6.

Summary:
Total DFT energy (no corrections) (eV/atom): -6.61
Energy above the lowest structure with this stoichiometry (eV per formula unit): 0.00
ΔH_f (0 K) (eV/atom): -1.957

Cell and atoms, written as POSCAR:
```
Bi2WO6
1.0
5.4865 0.0000 0.0000
0.0000 17.1078 0.0000
0.0000 0.0000 5.5180
Bi W O
8 4 24
Direct
0.0244 0.0756 0.0000
0.0244 0.5756 0.4842
0.4756 0.0756 0.5000
0.4756 0.5756 0.9842
0.5244 0.4244 0.4842
0.5244 0.9244 0.0000
0.9756 0.4244 0.9842
0.9756 0.9244 0.5000
0.0028 0.7498 0.9392
0.4972 0.7498 0.4392
0.5028 0.2502 0.9392
0.9972 0.2502 0.4392
0.0815 0.6427 0.8785
0.0847 0.1432 0.3940
0.2172 0.2711 0.6892
0.2253 0.7709 0.6348
0.2392 0.4995 0.2082
0.2397 0.9993 0.7242
0.2603 0.9993 0.2242
0.2608 0.4995 0.7082
0.2747 0.7709 0.1348
0.2828 0.2711 0.1892
0.4153 0.1432 0.8940
0.4185 0.6427 0.3785
0.5815 0.3573 0.8785
0.5847 0.8568 0.3940
0.7173 0.7289 0.6892
0.7253 0.2291 0.6348
0.7392 0.5005 0.2082
0.7397 0.0007 0.7242
0.7603 0.0007 0.2242
0.7608 0.5005 0.7082
0.7747 0.2291 0.1348
0.7827 0.7289 0.1892
0.9153 0.8568 0.8940
0.9185 0.3573 0.3785
```



The following is a DFT calculation (PBE with a Hubbard U) of a relaxed structure of Bi17W3O33.

Summary:
Total DFT energy (no corrections) (eV/atom): -6.11
ΔH_f (0 K) (eV/atom): -1.723

Cell and atoms, written as POSCAR:
```
Bi17W3O33
1.0
10.1916 0.0000 0.0000
-4.0995 9.5725 0.0000
-2.5329 -4.6775 8.9580
Bi W O
17 3 33
Direct
0.0000 0.0000 0.0000
0.0090 0.3383 0.9299
0.0631 0.7136 0.8173
0.1974 0.4183 0.6230
0.2580 0.7956 0.5101
0.3067 0.1196 0.3985
0.3490 0.4725 0.3133
0.4448 0.1676 0.1146
0.5042 0.5343 0.0362
0.5366 0.8612 0.9116
0.5926 0.2204 0.8114
0.6109 0.5588 0.7014
0.6755 0.9015 0.6185
0.7299 0.2631 0.5253
0.7898 0.5977 0.4188
0.8238 0.9448 0.2846
0.9163 0.6404 0.1133
0.1102 0.0487 0.6931
0.4151 0.8212 0.2143
0.9161 0.2978 0.2242
0.0179 0.8224 0.6314
0.0631 0.2738 0.1256
0.0758 0.5121 0.3464
0.1860 0.2758 0.7354
0.2476 0.1334 0.1710
0.2530 0.1000 0.8827
0.2561 0.0492 0.6064
0.2932 0.8691 0.3363
0.3269 0.8697 0.0730
0.3371 0.5959 0.1571
0.3500 0.3851 0.5121
0.4141 0.7114 0.4766
0.4392 0.5941 0.8020
0.5020 0.9623 0.7148
0.5108 0.4145 0.2005
0.5139 0.1940 0.3469
0.5505 0.2584 0.6127
0.5522 0.7854 0.0995
0.6110 0.9594 0.3865
0.6293 0.6364 0.5036
0.6847 0.5262 0.9346
0.6897 0.8254 0.8048
0.7336 0.6894 0.2371
0.7598 0.3247 0.2723
0.7721 0.0650 0.0929
0.7734 0.2072 0.7382
0.8245 0.5225 0.6157
0.8442 0.3370 0.0402
0.9336 0.9831 0.5157
0.9667 0.8818 0.1605
0.9707 0.0744 0.8021
0.9908 0.2397 0.3717
0.9958 0.5730 0.9402
```



The following is a DFT calculation (PBE with a Hubbard U) of a relaxed structure of Bi2WO6.

Summary:
Total DFT energy (no corrections) (eV/atom): -6.60
Energy above the lowest structure with this stoichiometry (eV per formula unit): 0.08
ΔH_f (0 K) (eV/atom): -1.948

Cell and atoms, written as POSCAR:
```
Bi2WO6
1.0
8.2410 -1.9276 0.0000
8.2410 1.9276 0.0000
-1.6925 0.0000 8.1685
Bi W O
4 2 12
Direct
0.1675 0.1675 0.0714
0.1810 0.1810 0.6054
0.8190 0.8190 0.3946
0.8325 0.8325 0.9286
0.4960 0.4960 0.2972
0.5040 0.5040 0.7028
0.0060 0.0060 0.6861
0.2324 0.2324 0.3655
0.2511 0.2511 0.8804
0.3925 0.3925 0.1534
0.4215 0.4215 0.4852
0.4265 0.4265 0.8279
0.5735 0.5735 0.1721
0.5785 0.5785 0.5148
0.6075 0.6075 0.8466
0.7489 0.7489 0.1196
0.7676 0.7676 0.6345
0.9940 0.9940 0.3139
```